Entry 1:
234
Lattice="17.5034 0.0164 -0.0322 -4.3687 7.6016 0.0041 -0.0415 -0.0120 22.0163" Properties=species:S:1:pos:R:3 comment="PBE Na10Ti4Si9Ge4S3O48, optimized geometry" sg=P1 pbc="T T T"
O 2.8118 7.3762 15.2571
O 3.6883 1.0649 20.3116
O -2.9833 7.4643 19.9991
O 3.7581 6.0534 6.8194
O 11.6059 2.7367 9.2812
O 13.6979 3.9272 16.3446
O 0.5005 6.3927 1.6750
O 6.0232 2.7472 14.0158
O -0.6904 6.3857 12.6988
O 6.0515 7.4329 4.2761
O 8.1326 1.5584 4.1647
O 14.5623 2.2876 5.2841
O -2.7411 7.3917 4.2906
O 9.3631 1.3814 8.9992
O 1.5823 5.4170 21.4435
O 5.2788 3.7400 9.3066
O 7.1347 4.8465 1.7274
O 1.6795 0.2309 6.7389
O 7.7065 3.7425 12.7418
O 11.4410 2.3318 16.4078
O 7.6890 6.2476 21.4453
O 15.8757 0.2515 17.8811
O -0.6350 3.6851 5.6259
O 12.1288 3.8639 20.2995
O -0.5764 6.6575 18.8473
O 10.1910 0.1997 12.9726
O 11.6068 2.3426 0.4532
O 5.4295 6.3393 15.2237
O 10.2963 5.3511 5.5870
O 5.2976 6.3967 9.0155
O 5.9112 2.7490 20.3011
O 13.7653 6.1027 1.9596
O 0.8683 1.1416 2.0100
O 7.7233 1.2801 6.7839
O 8.1471 3.7284 5.5844
O -1.0560 3.8244 18.8624
O -1.6641 4.8365 1.7305
O 2.8161 2.7081 9.3107
O 8.2186 6.6853 18.8472
O 9.8304 6.3162 10.3873
O 0.5870 3.5379 16.6086
O 10.4317 4.8175 18.9403
O 7.7566 3.9182 18.8608
O 1.0682 3.8358 7.8969
O 7.2153 0.1814 1.9320
O 7.7740 6.4334 5.5619
O 1.3730 4.8250 12.6793
O 3.3292 1.2290 11.5397
O 4.9384 3.9078 16.3565
O 8.0677 6.4362 12.7226
O 10.4668 0.2229 6.7045
O 0.4341 3.5346 10.4759
O 8.1607 3.5663 21.5231
O 9.2965 6.4280 1.6116
O 13.7451 4.1591 0.5907
O 15.9834 0.2029 1.9302
O 2.7818 2.7797 3.0998
O 1.3954 0.1753 13.0393
O 11.6525 7.4217 9.0206
O 0.5133 6.6462 7.8167
O 2.6766 2.2973 16.3991
O 12.4969 1.0377 14.1702
O 7.2452 5.2941 16.6272
O 0.5710 1.3614 8.9749
O 7.1181 0.2678 17.8808
O 9.2833 6.6682 7.7926
O 0.5984 1.5565 15.3019
O 2.7451 2.3013 0.5067
O 5.2073 1.2590 16.3717
O -3.4522 6.4344 9.0128
O 5.8250 7.3789 19.9923
O 16.4151 1.2516 6.7835
O 9.6873 1.2508 1.9472
O 3.3806 3.7668 14.1005
O 14.5242 2.7369 20.3543
O 14.2527 1.2871 0.5073
O 3.3466 1.2003 5.3924
O 2.8507 7.4186 9.0500
O 3.4236 6.3967 20.0431
O 12.1583 6.4313 4.1657
O 7.1154 5.3570 10.5075
O 10.4203 5.3436 21.3607
O 14.0467 3.7830 9.3084
O 3.7377 6.1685 12.9655
O -0.5730 3.5119 21.5273
O -3.2498 6.3336 15.2259
O 9.3660 1.6203 15.3054
O 3.7765 4.0815 11.5167
O -0.5834 1.5816 4.1558
O 4.9518 6.1054 17.8707
O -1.5526 4.7854 7.9067
O 5.4093 1.2718 0.5177
O 14.2006 3.8761 3.0170
O 4.9755 1.0143 3.1389
O 12.5535 4.1151 11.5223
O 5.8419 2.2984 5.3439
O 12.5847 3.9049 5.2954
O 4.9784 1.1530 9.3287
O 3.7897 3.9007 5.3360
O 7.7556 1.3236 12.9792
O 9.3669 3.5784 16.6621
O 5.0596 6.1089 1.9687
O 9.2335 3.5508 10.4476
O -1.6160 5.3853 10.5314
O 7.2048 4.7833 7.8892
O 6.0889 2.3032 11.6018
O 12.5731 6.0515 6.8193
O 16.5298 1.3144 12.9725
O 0.8009 3.8231 1.6781
O -1.0234 3.7358 12.7568
O 8.1548 1.3847 20.0015
O 14.8004 2.7552 14.0074
O 12.0815 6.2946 20.0627
O -1.0907 6.2443 21.4958
O 13.6942 1.0288 3.1610
O 1.0967 6.2803 10.4390
O 14.8706 2.3005 11.5902
O -0.6596 1.3818 20.0278
O 11.5748 2.8438 3.1114
O 12.1314 1.2637 11.5215
O 9.7835 1.3488 17.7215
O 12.1463 1.2335 5.3858
O 5.0655 4.1689 0.5863
O 12.5439 6.2154 12.9484
O 1.4866 5.3375 5.5972
O 10.1970 4.8582 12.7215
O 9.8302 3.8446 7.8823
O 3.4378 3.7625 20.2990
O -1.4897 5.2694 16.6921
O 1.5042 4.7146 18.8435
O 13.9851 1.2413 16.3623
O 11.5834 7.3621 15.1938
O 3.7386 0.9956 14.1754
O 12.5408 1.1371 20.2989
O 9.6181 3.8666 1.6359
O 1.0396 1.3615 17.7451
O 3.4283 6.3942 4.2245
O 13.6578 6.1453 17.8107
O 5.4310 3.8819 2.9950
O 12.1824 3.7839 14.1080
O -1.0178 6.4151 5.5848
O 13.7561 1.1785 9.3064
O 0.8660 6.2208 16.6725
O 9.6557 6.2093 16.6811
Si 7.5530 2.9039 20.1435
Si 1.1883 2.8617 9.2015
Si 14.3256 0.3014 1.8350
Si 7.4382 7.2677 20.1871
Si 1.7901 2.5146 1.8270
Si 1.8320 7.5559 16.5642
Si 11.9288 5.4016 5.4302
Si -1.3387 2.9295 20.1872
Si 1.2187 7.2575 9.1418
Si 10.6352 7.5609 16.5180
Si 11.7938 4.7414 12.8505
Si 3.1117 5.3672 5.4627
Si 16.2088 2.2254 5.4521
Si 9.9737 2.8662 9.1864
Si 2.4632 5.0628 20.1168
Si 3.0462 0.3019 12.8735
Si 5.5848 5.3759 16.5586
Si 11.8187 0.3452 12.8577
Si 2.9807 4.7022 12.8218
Si 5.5567 0.2531 1.8098
Si 10.6679 2.5727 1.7811
Si -1.3705 7.1472 20.1867
Si -2.5158 5.0837 9.1799
Si 7.4617 2.2707 5.4934
Si 14.3678 5.3905 16.5501
Si 10.0146 7.2999 9.0874
Si 6.2306 5.0620 9.1667
Ge 17.3323 0.1184 3.1900
Ge -0.0855 5.1306 17.9695
Ge 0.0592 5.1622 11.3929
Ge 8.5947 5.1881 17.8728
Ge 4.2850 7.5601 18.8463
Ge 13.0886 7.5908 18.7377
Ge 13.0188 7.5689 7.7524
Ge 13.1174 7.3966 14.2381
Ge 0.1260 5.0982 0.3649
Ge 8.7972 5.0785 0.4172
Ge 13.0873 2.5930 4.0638
Ge 13.1111 2.3491 21.5724
Ti 4.2799 2.3976 21.5046
Ti 8.6271 0.1076 3.1805
Ti 4.3014 2.5510 4.0872
Ti 0.0235 4.9396 6.8884
Ti 8.8318 5.1727 11.4049
Ti 4.3469 2.5329 15.1205
Ti 4.3230 7.4430 14.2272
Ti 4.2656 7.5539 7.7747
Ti 8.8046 4.9673 6.8748
Ti 13.0069 2.5665 10.5454
Ti 13.1053 2.5523 15.1347
Ti 4.2401 2.5347 10.5540
Na 4.3814 2.6168 7.2887
Na 8.7353 0.0370 11.0250
Na 15.8685 2.3123 9.1226
Na 2.7592 0.2382 9.1742
Na -1.1587 7.5575 16.4737
Na 5.9623 5.3368 12.7842
Na -4.3076 7.5410 0.0392
Na 5.5091 5.0468 20.1513
Na 9.9434 7.5981 5.4784
Na 14.7038 0.2829 20.1079
Na 1.1993 7.5999 5.4947
Na 0.0475 5.0414 3.6493
Na -1.1783 2.5345 1.7918
Na 7.1316 2.3005 9.1453
Na -0.0334 0.0253 11.0517
Na 4.4225 2.5853 18.3027
Na 8.7750 0.0367 21.9978
Na 11.9517 5.0767 9.1275
Na 11.5148 0.2325 9.1607
Na 3.1945 5.0693 9.1647
Na 5.9431 0.2587 20.1557
Na 1.5318 2.3004 20.2009
Na 8.8301 5.0507 3.6585
Na 7.6008 2.5221 1.7736
Na 0.0631 5.0670 14.6845
Na 13.1236 2.6288 7.2603
Na -2.7821 5.3044 12.8119
Na 8.8306 5.0692 14.6478
Na 11.9488 0.0042 16.4504
Na 13.1572 2.6274 18.3137
S 14.3631 4.7648 1.8029
S 5.6462 4.7514 1.7997
S 15.6767 2.5028 12.8263
S 6.8987 2.5157 12.8316
S 9.9433 2.2225 16.5191
S 11.2544 5.0362 20.1493
S 1.1906 2.1998 16.4920
S 11.2649 0.0200 5.4690
S -1.9117 7.5972 5.4850

---

Entry 2:
114
Lattice="8.6934 0.0068 -0.0554 -4.3407 7.5452 0.0484 -0.1428 0.0610 22.0281" Properties=species:S:1:pos:R:3 comment="PBE Na2TiSi2GeSO12, optimized geometry" sg=P1 pbc="T T T"
Si 5.5547 4.6969 1.7506
Si 3.0093 5.3800 5.4705
Si 1.7646 7.5639 16.5943
Si 1.0559 2.3009 16.5853
Si 1.1375 7.2628 9.2055
Si -1.4517 2.9362 20.1989
Si -2.5035 5.0765 9.2194
Si -1.3636 7.2179 20.2058
Si 1.9041 2.5759 1.7535
Si 2.9570 4.7168 12.7796
Si 2.9470 0.3621 12.8285
Si 7.3451 2.1705 5.3656
S 1.1376 2.8738 9.1981
S 2.4801 0.0966 5.4775
S 2.3886 5.1316 20.1930
S 6.7783 2.6302 12.8275
S 5.4706 5.4128 16.5409
S 5.5225 0.3188 1.7786
O 7.0148 0.2097 1.8482
O 3.2706 6.2981 20.0791
O 0.7393 6.2675 16.7253
O 3.6064 4.0817 11.4273
O 3.3561 1.2726 5.3526
O 2.7769 7.3915 9.0473
O 0.5815 1.5248 9.0645
O 0.5991 6.5253 1.7018
O 2.7482 2.2959 0.3786
O 5.1694 3.8000 9.2982
O -0.6779 3.4738 21.5571
O 3.2090 3.8747 20.2346
O -0.6924 1.5216 4.0773
O 5.9683 2.7647 14.0386
O 4.9109 3.9189 0.4873
O -1.5342 5.2388 10.5241
O -1.0247 3.7886 12.7705
O 3.5749 1.2182 20.3096
O -1.7194 5.3424 16.6297
O 3.7708 3.9210 5.3633
O 3.7134 5.9937 6.8345
O -2.6824 7.4241 4.3108
O 3.4473 6.3304 4.2240
O 1.6748 0.2321 6.6955
O -1.0671 6.2736 21.5040
O -3.4661 6.2372 15.3889
O 3.3675 1.3112 11.5740
O 0.8691 1.3043 1.9328
O -1.0313 6.3935 5.5785
O -0.6984 1.4558 20.0879
O 0.5565 6.4372 7.9319
O 3.6547 0.9872 14.1844
O 2.6177 7.3511 15.2065
O 7.7090 1.2294 6.6572
O 1.5585 4.8804 18.9716
O 1.3555 0.2090 13.0082
O 1.0546 6.3425 10.5687
O 1.0104 1.3387 17.9194
O 5.6303 2.7610 20.3228
O 5.6902 2.2710 5.2779
O 1.3020 4.8068 12.6981
O 3.5452 6.2334 12.9736
O 4.9668 0.9450 2.9945
O 1.4161 5.2193 5.6223
O 4.9223 6.0147 17.7764
O -3.0337 7.3653 20.1029
O 3.3349 3.7671 14.0575
O 1.5659 5.3059 21.4108
O -0.7563 3.6807 5.6165
O 0.9074 3.6866 7.9775
O 5.4541 3.7964 3.1359
O 2.6934 2.4199 16.3824
O -1.6668 4.8539 7.8291
O -0.6305 6.4496 12.7729
O -0.7194 6.6120 18.8270
O 0.6016 3.4792 10.4283
O -3.4487 6.4135 9.1025
O 4.9098 6.1757 1.9240
O -1.4841 4.7970 1.7172
O 7.5999 1.3733 12.8799
O 2.6334 2.7841 9.2358
O 5.1627 1.3605 16.4033
O 7.1092 0.2095 17.8170
O 0.9535 3.9518 1.6571
O 2.8442 2.7805 3.0797
O -1.1228 3.9080 18.9369
O 4.9262 4.0658 16.3968
O 0.4469 1.4827 15.3114
O 5.3604 1.1561 0.5476
O 5.9599 2.4169 11.6070
O 4.8204 1.1791 9.2838
O 0.3758 3.7585 16.7510
Ge -0.1462 4.9188 0.4609
Ge -0.0901 0.2338 18.8508
Ge -0.1219 5.0961 17.9487
Ge 4.3314 2.7308 4.0786
Ge -0.0521 5.2472 11.5051
Ge 4.2204 2.5510 21.5255
Na -1.1407 2.5297 1.9455
Na 3.0934 0.0928 16.6161
Na 1.4885 7.3538 12.9615
Na -4.2256 7.5552 11.0740
Na 1.4547 2.3105 20.3153
Na 4.4229 2.5647 18.3463
Na -4.3818 7.4552 22.0684
Na 3.1646 5.0950 9.2627
Na 5.8858 4.8187 5.5668
Na -0.0170 4.9228 14.7262
Na 4.3968 2.3862 7.3079
Na 0.1431 5.0312 3.6614
Ti -0.0643 5.0536 6.8607
Ti 4.1621 7.5132 7.7951
Ti 4.1057 2.4985 15.1521
Ti 8.5605 0.0667 14.1896
Ti 4.2663 2.5587 10.5129
Ti -4.3508 7.5477 3.1987

---

The calculation returns the following E_tot values, one per record and in order: -6.872, -6.884 eV per atom.
The calculation returns the following formation energy values, one per record and in order: -2.654, -2.606 eV/atom.